1.
Density functional theory data (GGA+U) for crystalline V3Co3Te2O16 at its relaxed geometry.

```
24
Lattice="5.869 0.000 0.000 -2.853 5.166 0.000 -0.038 -0.294 10.101" Properties=species:S:1:pos:R:3 pbc="T T T"
V 0.000 0.000 0.000
V -1.321 2.502 9.892
V -0.111 1.816 5.229
Co 2.763 -0.092 9.758
Co 2.771 1.806 5.121
Co 1.449 4.295 5.079
Te -1.435 4.448 3.083
Te 1.467 2.573 7.762
O 0.031 0.104 4.158
O -1.423 2.783 4.140
O -1.619 4.132 8.914
O -0.054 1.719 8.730
O 1.211 0.819 0.912
O -0.195 3.514 0.862
O 0.045 3.229 6.439
O 1.290 1.083 6.393
O 1.299 2.471 4.136
O 2.904 0.087 3.939
O 2.834 1.685 8.746
O 1.446 4.206 8.756
O 2.685 3.300 6.412
O 4.347 1.077 0.517
O 4.323 0.986 5.916
O 3.003 3.668 0.876
```

ΔE_f in eV/atom: -1.698
Total energy after the MP2020 corrections in Ry/atom: -0.5353


2.
Density functional theory data (GGA+U) for crystalline V2Co3Te3O16 at its relaxed geometry.

```
24
Lattice="5.356 -3.061 0.000 5.356 3.061 0.000 -0.236 0.000 9.212" Properties=species:S:1:pos:R:3 pbc="T T T"
V 0.000 0.000 0.000
V 7.140 0.000 4.207
Co 4.620 1.533 2.422
Co 5.511 0.000 6.978
Co 4.620 -1.533 2.422
Te 2.830 1.538 6.888
Te 1.937 0.000 2.310
Te 2.830 -1.538 6.888
O 2.706 1.562 3.325
O 0.261 0.000 3.317
O 4.480 1.540 7.883
O 1.974 0.000 7.880
O 6.393 1.801 1.029
O 3.687 0.000 1.489
O 3.656 0.000 5.873
O 6.624 1.340 5.784
O 2.706 -1.562 3.325
O 5.629 0.000 3.396
O 4.480 -1.540 7.883
O 7.411 0.000 7.990
O 8.890 0.000 5.727
O 6.624 -1.340 5.784
O 9.354 0.000 1.025
O 6.393 -1.801 1.029
```

ΔE_f in eV/atom: -1.598
Total energy after the MP2020 corrections in Ry/atom: -0.5097


3.
Density functional theory data (GGA+U) for crystalline Zn4Co5Te3O18 at its relaxed geometry.

```
60
Lattice="7.501 -4.460 0.000 7.501 4.460 0.000 -0.774 0.000 10.518" Properties=species:S:1:pos:R:3 pbc="T T T"
Zn 6.399 3.089 10.040
Zn 4.383 1.230 0.787
Zn 7.441 3.089 5.737
Zn 3.996 -1.230 6.046
Zn 10.231 1.230 4.472
Zn 6.786 -3.089 4.781
Zn 9.843 -1.230 9.731
Zn 7.828 -3.089 0.478
Co 4.676 2.598 4.680
Co 4.829 1.337 7.680
Co 7.307 1.632 2.629
Co 9.938 2.598 0.579
Co 9.011 1.337 8.096
Co 5.216 -1.337 2.422
Co 4.289 -2.598 9.939
Co 6.920 -1.632 7.888
Co 9.398 -1.337 2.837
Co 9.551 -2.598 5.838
Te 1.815 0.043 8.432
Te 2.202 -0.043 3.173
Te 7.501 0.000 0.000
Te 7.113 0.000 5.259
Te 12.025 0.043 7.345
Te 12.412 -0.043 2.086
O 5.332 3.092 8.414
O 3.069 1.459 4.100
O 5.814 3.022 3.107
O 0.860 0.064 4.604
O 0.473 -0.064 9.863
O 2.927 1.345 9.411
O 3.251 0.248 7.041
O 8.508 3.092 7.363
O 8.800 3.022 2.152
O 5.951 1.465 5.907
O 6.354 1.461 0.674
O 3.638 -0.248 1.782
O 2.682 -1.459 9.359
O 3.314 -1.345 4.152
O 8.260 1.461 4.585
O 7.889 1.465 9.869
O 6.216 0.062 3.540
O 5.829 -0.062 8.799
O 8.398 0.062 1.719
O 8.010 -0.062 6.978
O 6.338 -1.465 0.649
O 5.967 -1.461 5.932
O 10.913 1.345 6.366
O 11.545 1.459 1.159
O 10.589 0.248 8.736
O 7.873 -1.461 9.844
O 8.276 -1.465 4.610
O 5.426 -3.022 8.366
O 5.719 -3.092 3.155
O 10.976 -0.248 3.477
O 11.300 -1.345 1.107
O 13.754 0.064 0.655
O 13.367 -0.064 5.914
O 8.413 -3.022 7.411
O 11.158 -1.459 6.418
O 8.895 -3.092 2.104
```

ΔE_f in eV/atom: -1.553
Total energy after the MP2020 corrections in Ry/atom: -0.4549


4.
Density functional theory data (GGA+U) for crystalline TiCo5O12 at its relaxed geometry.

```
36
Lattice="4.947 0.000 0.000 -2.473 4.291 0.000 -0.008 -0.018 19.503" Properties=species:S:1:pos:R:3 pbc="T T T"
Ti -0.002 -0.004 4.879
Ti 2.467 4.277 14.624
Co -0.008 1.412 19.501
Co -0.004 1.422 9.753
Co -0.002 2.857 4.872
Co -0.006 2.847 14.627
Co 2.473 0.000 0.000
Co 2.469 -0.009 9.752
Co 2.472 1.426 4.876
Co 2.467 1.416 14.631
Co 2.473 2.861 0.002
Co 2.469 2.851 9.750
O 4.092 1.475 3.899
O 4.087 1.467 13.652
O -1.622 2.806 5.852
O -1.627 2.798 15.604
O -1.654 4.282 8.816
O -1.659 4.271 18.572
O -0.826 2.861 0.925
O -0.828 2.852 10.682
O -0.768 4.287 3.895
O -0.772 4.277 13.647
O 0.852 1.476 5.854
O 0.846 1.466 15.607
O 0.815 2.841 18.578
O 1.645 1.421 10.682
O 0.820 2.852 8.821
O 1.650 1.432 0.925
O 3.237 -0.004 5.856
O 3.234 -0.014 15.608
O 1.619 2.807 3.896
O 1.614 2.797 13.649
O 3.294 1.421 8.821
O 3.292 1.412 18.578
O 4.119 -0.009 10.687
O 4.124 0.002 0.931
```

ΔE_f in eV/atom: -1.418
Total energy after the MP2020 corrections in Ry/atom: -0.5241
Distance to the lowest polymorph of the same formula in eV/atom: 0.0000


5.
Density functional theory data (GGA+U) for crystalline TiCo3O8 at its relaxed geometry.

```
24
Lattice="-1.822 -0.181 -5.455 2.020 -4.028 -3.576 -9.563 -3.618 3.313" Properties=species:S:1:pos:R:3 pbc="T T T"
O -5.425 -3.117 0.454
Co -10.375 -5.813 -3.931
O -9.661 -4.586 -2.693
O -6.365 -3.208 -2.380
O -5.397 -5.142 -4.098
O -3.941 -4.710 -6.172
O -7.818 -6.432 -1.789
O -8.689 -6.516 -4.414
O -8.791 -4.441 0.047
O 0.296 -3.242 -3.026
O -0.677 -1.311 -1.305
O -0.575 -3.386 -5.766
O -4.920 -2.723 -4.337
Co 1.109 -4.119 -6.303
Co -3.772 -3.823 -0.132
O -1.548 -1.395 -3.930
O -4.445 -5.105 -1.381
Co -4.683 -3.914 -2.859
Ti -3.673 -5.928 -4.647
Ti -7.544 -7.647 -0.263
Co -2.762 -5.837 -1.919
Co -9.464 -5.723 -1.203
O -3.969 -2.686 -1.621
O -3.000 -4.619 -3.338
```

ΔE_f in eV/atom: -1.600
Total energy after the MP2020 corrections in Ry/atom: -0.5390
Distance to the lowest polymorph of the same formula in eV/atom: 0.0246


6.
Density functional theory data (GGA+U) for crystalline Ti2CoO5 at its relaxed geometry.

```
48
Lattice="5.253 0.000 0.000 0.024 10.195 0.000 1.223 0.039 10.537" Properties=species:S:1:pos:R:3 pbc="T T T"
Ti 0.000 0.000 0.000
Ti 5.263 3.756 0.009
Ti 1.515 9.028 2.553
Ti 1.515 5.115 2.545
Ti 2.612 3.769 7.063
Ti 2.637 0.033 7.010
Ti 4.059 8.883 9.582
Ti 4.067 5.217 9.577
Ti 4.008 3.706 3.547
Ti 4.464 7.040 3.689
Ti 5.424 8.981 6.068
Ti 5.418 5.109 6.088
Co 0.557 6.999 0.178
Co 0.997 1.921 2.346
Co 3.101 7.021 7.184
Co 3.540 1.939 9.437
Co 3.994 0.027 3.522
Co 4.866 1.924 5.895
O 0.922 3.338 6.443
O 0.960 0.522 6.371
O 0.562 6.939 2.319
O 0.753 1.923 0.261
O 1.786 5.632 6.661
O 1.808 8.445 6.701
O 2.404 3.937 8.979
O 2.472 10.169 8.970
O 1.732 5.154 0.663
O 1.738 8.798 0.637
O 2.191 0.459 2.865
O 2.296 3.363 2.910
O 3.317 7.020 9.263
O 3.319 1.963 7.362
O 3.172 8.247 3.192
O 3.175 5.679 3.183
O 3.718 3.847 5.461
O 3.793 0.057 5.529
O 4.255 5.109 7.631
O 4.277 8.889 7.628
O 4.824 3.358 9.975
O 4.825 0.515 9.930
O 4.549 7.000 5.650
O 4.776 2.032 3.797
O 5.733 5.640 10.152
O 5.742 8.437 10.139
O 5.113 3.907 1.924
O 5.139 10.102 1.858
O 5.559 5.117 4.132
O 5.629 8.783 4.144
```

ΔE_f in eV/atom: -2.948
Total energy after the MP2020 corrections in Ry/atom: -0.6544
Distance to the lowest polymorph of the same formula in eV/atom: 0.0185


7.
Density functional theory data (GGA+U) for crystalline Ti2CoO5 at its relaxed geometry.

```
32
Lattice="1.876 4.908 0.000 -5.627 4.908 0.000 0.000 0.000 10.207" Properties=species:S:1:pos:R:3 pbc="T T T"
Ti -1.876 3.597 4.411
O 0.000 0.453 1.142
Ti -3.751 8.505 4.411
O -3.751 9.364 6.246
O -1.876 7.014 7.655
Ti -1.876 6.220 9.515
O 0.000 0.453 3.961
O -1.876 5.361 1.142
O -1.876 7.990 0.619
Ti -1.876 6.220 5.796
O 0.000 3.081 4.485
O -3.751 9.364 9.065
Ti 0.000 1.312 9.515
Co -3.751 7.949 7.655
O -3.751 6.736 5.722
Ti -1.876 3.597 0.692
O 0.000 3.081 0.619
Co -1.876 6.777 2.552
O -1.876 4.456 6.246
O -3.751 7.711 2.552
O -1.876 4.456 9.065
O -1.876 5.361 3.961
Ti 0.000 1.312 5.795
O -1.876 2.803 2.552
O -3.751 6.736 9.588
O 0.000 2.105 7.655
O -1.876 1.827 9.588
Co 0.000 1.868 2.552
O -1.876 1.827 5.722
Ti -3.751 8.505 0.692
O -1.876 7.990 4.485
Co -1.876 3.040 7.655
```

ΔE_f in eV/atom: -2.967
Total energy after the MP2020 corrections in Ry/atom: -0.6557
Distance to the lowest polymorph of the same formula in eV/atom: 0.0000


8.
Density functional theory data (GGA+U) for crystalline TiCo3O8 at its relaxed geometry.

```
96
Lattice="7.515 0.000 0.000 0.000 7.551 0.000 0.007 0.009 18.721" Properties=species:S:1:pos:R:3 pbc="T T T"
Ti 0.000 0.000 0.000
Ti 0.038 1.812 16.315
Ti 1.938 3.799 11.258
Ti 2.065 5.595 13.709
Ti 3.752 5.605 16.153
Ti 3.789 3.778 18.580
Ti 5.710 0.074 11.390
Ti 5.763 1.864 13.856
Co 0.012 3.757 9.001
Co 0.016 1.934 6.734
Co 0.068 0.005 9.030
Co 0.074 5.655 6.806
Co 0.103 3.805 18.571
Co 1.901 0.022 11.429
Co 1.894 3.755 2.250
Co 1.902 1.804 4.515
Co 1.903 1.896 13.759
Co 1.919 5.648 4.468
Co 1.945 7.550 2.248
Co 3.760 5.673 6.760
Co 3.775 1.857 16.126
Co 3.785 7.553 9.028
Co 3.838 1.809 6.663
Co 3.856 0.041 18.543
Co 3.855 3.762 8.925
Co 5.594 3.794 11.412
Co 5.613 7.551 2.314
Co 5.676 5.623 4.608
Co 5.684 3.807 2.218
Co 5.687 1.925 4.458
Co 5.794 5.652 13.724
Co 7.466 5.653 16.255
O 0.006 1.953 8.664
O 0.007 3.778 10.815
O 0.012 1.847 4.894
O 0.011 5.705 4.909
O 0.019 1.906 18.293
O 0.022 3.762 7.087
O 0.063 0.016 10.950
O 0.080 7.552 7.190
O 0.083 1.921 14.306
O 0.085 3.810 1.874
O 0.083 5.579 8.647
O 0.128 3.752 16.756
O 0.135 7.549 16.719
O 1.870 0.033 9.396
O 1.886 1.813 2.601
O 1.885 3.733 4.081
O 1.893 3.798 0.332
O 1.901 5.636 15.645
O 1.928 5.683 11.695
O 1.946 1.867 11.769
O 1.944 1.878 6.339
O 1.943 5.587 6.387
O 1.941 7.526 0.445
O 1.945 7.532 13.245
O 1.941 7.547 4.168
O 1.948 5.711 2.635
O 1.966 3.727 9.326
O 1.984 1.880 15.813
O 1.993 3.778 13.262
O 3.729 1.914 18.102
O 3.741 3.730 1.849
O 3.760 5.665 18.095
O 3.755 5.699 8.634
O 3.755 7.517 7.085
O 3.801 0.007 10.855
O 3.818 0.023 16.637
O 3.822 1.836 14.321
O 3.823 1.873 4.854
O 3.825 0.022 1.928
O 3.833 3.789 10.859
O 3.826 5.643 4.881
O 3.833 1.840 8.599
O 3.837 3.744 16.569
O 3.834 3.776 7.132
O 3.887 5.702 14.113
O 5.628 0.000 0.376
O 5.634 0.028 4.105
O 5.640 3.798 13.363
O 5.637 3.814 9.295
O 5.646 1.877 6.352
O 5.652 5.621 2.649
O 5.663 5.664 6.418
O 5.682 1.882 15.861
O 5.681 3.791 0.399
O 5.699 1.885 11.872
O 5.706 5.637 15.695
O 5.700 7.544 13.412
O 5.706 3.723 4.151
O 5.715 1.920 2.599
O 5.740 5.699 11.910
O 5.742 7.503 9.397
O 7.485 5.630 14.068
O 7.491 5.645 18.219
O 7.512 7.477 1.928
```

ΔE_f in eV/atom: -1.463
Total energy after the MP2020 corrections in Ry/atom: -0.5289
Distance to the lowest polymorph of the same formula in eV/atom: 0.1617


9.
Density functional theory data (GGA+U) for crystalline TiCo3O8 at its relaxed geometry.

```
24
Lattice="2.079 4.923 -2.128 7.411 -3.591 -1.067 -1.923 -1.547 -5.459" Properties=species:S:1:pos:R:3 pbc="T T T"
O 3.224 3.241 -4.903
Co 5.711 -0.169 -6.460
O 2.999 -1.822 -4.967
O 7.273 -1.069 -6.925
O 2.104 0.823 -3.814
O 2.704 1.573 -1.496
O 4.928 -1.790 -7.102
Co -0.852 0.919 -6.483
Co 4.676 -2.622 -5.400
O 5.887 0.717 -8.141
Co 2.971 2.409 -3.201
Co 2.777 -2.565 -3.222
Co 1.928 -0.062 -2.134
O 3.490 -0.962 -2.596
O 4.409 -3.458 -3.695
O 6.262 -3.463 -5.890
O 5.434 -1.015 -4.816
Ti 3.633 -0.104 -4.467
O 4.094 0.770 -6.087
O 4.558 1.568 -3.690
O 1.294 3.208 -2.769
O 0.309 0.877 -1.762
O 1.649 -0.907 -0.489
Ti 7.259 -3.587 -1.209
```

ΔE_f in eV/atom: -1.600
Total energy after the MP2020 corrections in Ry/atom: -0.5390
Distance to the lowest polymorph of the same formula in eV/atom: 0.0243


Q: Which value of total energy after the MP2020 corrections does entry 1 give?
A: -0.5353 Ry/atom


Repeat the first record exactly.
Density functional theory data (GGA+U) for crystalline V3Co3Te2O16 at its relaxed geometry.

```
24
Lattice="5.869 0.000 0.000 -2.853 5.166 0.000 -0.038 -0.294 10.101" Properties=species:S:1:pos:R:3 pbc="T T T"
V 0.000 0.000 0.000
V -1.321 2.502 9.892
V -0.111 1.816 5.229
Co 2.763 -0.092 9.758
Co 2.771 1.806 5.121
Co 1.449 4.295 5.079
Te -1.435 4.448 3.083
Te 1.467 2.573 7.762
O 0.031 0.104 4.158
O -1.423 2.783 4.140
O -1.619 4.132 8.914
O -0.054 1.719 8.730
O 1.211 0.819 0.912
O -0.195 3.514 0.862
O 0.045 3.229 6.439
O 1.290 1.083 6.393
O 1.299 2.471 4.136
O 2.904 0.087 3.939
O 2.834 1.685 8.746
O 1.446 4.206 8.756
O 2.685 3.300 6.412
O 4.347 1.077 0.517
O 4.323 0.986 5.916
O 3.003 3.668 0.876
```

ΔE_f in eV/atom: -1.698
Total energy after the MP2020 corrections in Ry/atom: -0.5353


Q: total energy after the MP2020 corrections of number 1 (V3Co3Te2O16)?
A: -0.5353 Ry/atom


Repeat the second record exactly.
Density functional theory data (GGA+U) for crystalline V2Co3Te3O16 at its relaxed geometry.

```
24
Lattice="5.356 -3.061 0.000 5.356 3.061 0.000 -0.236 0.000 9.212" Properties=species:S:1:pos:R:3 pbc="T T T"
V 0.000 0.000 0.000
V 7.140 0.000 4.207
Co 4.620 1.533 2.422
Co 5.511 0.000 6.978
Co 4.620 -1.533 2.422
Te 2.830 1.538 6.888
Te 1.937 0.000 2.310
Te 2.830 -1.538 6.888
O 2.706 1.562 3.325
O 0.261 0.000 3.317
O 4.480 1.540 7.883
O 1.974 0.000 7.880
O 6.393 1.801 1.029
O 3.687 0.000 1.489
O 3.656 0.000 5.873
O 6.624 1.340 5.784
O 2.706 -1.562 3.325
O 5.629 0.000 3.396
O 4.480 -1.540 7.883
O 7.411 0.000 7.990
O 8.890 0.000 5.727
O 6.624 -1.340 5.784
O 9.354 0.000 1.025
O 6.393 -1.801 1.029
```

ΔE_f in eV/atom: -1.598
Total energy after the MP2020 corrections in Ry/atom: -0.5097